No. 1
First-principles (PBE) data for crystalline MgCd3 at its relaxed geometry, as listed in the Materials Project.

Cell: 4.5497 4.5497 8.5573 Å, 90.00 90.00 90.00°
With the nearest neighbours (Å) after each atom.
Space group I4/mmm (No. 139)
Symmetry-distinct sites (fractional):
1 Mg 0.0000 0.0000 0.0000 x2  12 Cd 3.12-3.22
2 Cd 0.0000 0.0000 0.5000 x2  8 Cd 3.12, 4 Mg 3.22
3 Cd 0.0000 0.5000 0.2500 x4  8 Cd 3.12-3.22, 4 Mg 3.12

Summary:
Energy relative to the lowest polymorph listed for this composition (meV/atom): 18
Crystal system: tetragonal
Theoretical density (kg/m³): 6779

No. 2
First-principles (PBE) data for crystalline SmP at its relaxed geometry, as listed in the Materials Project.

Cell: 5.8112 5.8112 5.8112 Å, 90.00 90.00 90.00°
With the nearest neighbours (Å) after each atom.
Space group Fm-3m (No. 225)
Symmetry-distinct sites (fractional):
1 Sm 0.0000 0.0000 0.0000 x4  6 P 2.91
2 P 0.0000 0.0000 0.5000 x4  6 Sm 2.91

Summary:
Crystal system: cubic
Theoretical density (kg/m³): 6138
Electronic total energy (eV/atom): -6.63

No. 3
First-principles (PBE) data for crystalline KTeO4 at its relaxed geometry, as listed in the Materials Project.

Cell: 7.8435 6.8208 17.2092 Å, 90.00 92.30 90.00°
With the nearest neighbours (Å) after each atom.
Space group P2_1/c (No. 14)
Symmetry-distinct sites (fractional):
1 K 0.0848 0.0458 0.3994 x4  7 O 2.74-2.98
2 K 0.3919 0.5884 0.2940 x4  4 O 2.63-2.90
3 Te 0.2014 0.5026 0.5127 x4  2 O 1.84-1.98
4 Te 0.4270 0.0235 0.5872 x4  4 O 1.86-1.97
5 O 0.0085 0.1820 0.0215 x4  2 Te 1.98-2.12
6 O 0.0442 0.5642 0.7324 x4  1 O 1.23
7 O 0.0701 0.0783 0.1903 x4  1 O 1.23
8 O 0.2539 0.6109 0.1352 x4  1 Te 1.86
9 O 0.2591 0.0780 0.9152 x4  1 Te 1.84
10 O 0.3510 0.2143 0.0869 x4  1 Te 1.89
11 O 0.3705 0.6009 0.9862 x4  2 Te 1.97-2.13
12 O 0.4061 0.5128 0.8328 x4  1 Te 1.86

Summary:
Magnetic moment (μB/cell): 8.000
Crystal system: monoclinic
Theoretical density (kg/m³): 3331
Electronic total energy (eV/atom): -5.06

No. 4
First-principles (PBE) data for crystalline IF5 at its relaxed geometry, as listed in the Materials Project.

Cell: 15.5704 7.1175 18.7831 Å, 90.00 93.37 90.00°
With the nearest neighbours (Å) after each atom.
Space group C2/c (No. 15)
Symmetry-distinct sites (fractional):
1 I 0.0000 0.2469 0.2500 x4  5 F 1.86-1.94
2 I 0.1062 0.1936 0.5534 x8  5 F 1.86-1.93
3 I 0.2143 0.1882 0.8460 x8  5 F 1.85-1.93
4 F 0.0000 0.4922 0.7500 x4  1 I 1.86
5 F 0.0026 0.2033 0.4922 x8  1 I 1.93
6 F 0.0415 0.0845 0.6276 x8  1 I 1.93
7 F 0.0611 0.4150 0.5879 x8  1 I 1.86
8 F 0.0678 0.2829 0.3374 x8  1 I 1.92
9 F 0.1029 0.2857 0.1987 x8  1 I 1.94
10 F 0.1197 0.0983 0.7842 x8  1 I 1.93
11 F 0.1315 0.3493 0.8773 x8  1 I 1.85
12 F 0.1606 0.3642 0.4910 x8  1 I 1.92
13 F 0.1745 0.0335 0.9218 x8  1 I 1.93
14 F 0.1968 0.2502 0.6250 x8  1 I 1.93
15 F 0.2129 0.1785 0.0840 x8  1 I 1.93
16 F 0.2292 0.3883 0.7787 x8  1 I 1.93

Summary:
Crystal system: monoclinic
Theoretical density (kg/m³): 3546
Electronic total energy (eV/atom): -3.43

No. 5
First-principles (PBE) data for crystalline Er3Ni19B10 at its relaxed geometry, as listed in the Materials Project.

Cell: 13.1053 8.6687 5.7522 Å, 90.00 91.31 90.00°
With the nearest neighbours (Å) after each atom.
Space group C2/m (No. 12)
Symmetry-distinct sites (fractional):
1 Er 0.0000 0.0000 0.0000 x2  14 Ni 2.76-2.88
2 Er 0.1254 0.5000 0.3840 x4  6 B 2.76-2.90, 11 Ni 2.81-3.05
3 Ni 0.0000 0.0000 0.5000 x2  4 B 2.26, 2 Ni 2.41
4 Ni 0.0298 0.2598 0.6983 x8  3 B 2.06-2.16
5 Ni 0.1222 0.5000 0.8717 x4  4 B 2.04-2.12
6 Ni 0.1273 0.2494 0.0733 x8  4 B 2.07-2.14
7 Ni 0.1625 0.0000 0.7036 x4  4 B 2.09-2.30
8 Ni 0.1819 0.0000 0.2706 x4  4 B 2.03-2.12
9 Ni 0.2191 0.2640 0.6974 x8  4 B 2.13-2.32
10 B 0.0000 0.3846 0.0000 x4  1 B 2.00, 6 Ni 2.04-2.09
11 B 0.1179 0.1830 0.4304 x8  6 Ni 2.03-2.26
12 B 0.2461 0.1037 0.9747 x8  1 B 1.80

Summary:
Magnetic moment (μB/cell): 0.046
Crystal system: monoclinic
Theoretical density (kg/m³): 8769
Electronic total energy (eV/atom): -6.39

No. 6
First-principles (PBE) data for crystalline Na2MgSiGeS2O12 at its relaxed geometry, as listed in the Materials Project.

Cell: 15.0737 8.7770 22.0674 Å, 90.00 91.25 90.00°
With the nearest neighbours (Å) after each atom.
Space group Cc (No. 9)
Symmetry-distinct sites (fractional):
1 Na 0.0000 0.0008 0.0000 x4  6 O 2.38-2.61
2 Na 0.1495 0.1799 0.9160 x4  5 O 2.29-2.51
3 Na 0.1678 0.4877 0.8335 x4  4 O 2.34-2.54
4 Na 0.1859 0.1811 0.2473 x4  6 O 2.34-2.58
5 Na 0.3298 0.0045 0.1670 x4  5 O 2.32-2.59
6 Na 0.4884 0.1811 0.5796 x4  5 O 2.31-2.58
7 Mg 0.0041 0.0104 0.8569 x4  6 O 1.92-2.12
8 Mg 0.1736 0.4957 0.6900 x4  5 O 1.95-2.07
9 Mg 0.3344 0.0020 0.0227 x4  6 O 1.93-2.16
10 Si 0.1540 0.1531 0.7594 x4  4 O 1.58-1.75
11 Si 0.1738 0.2044 0.0912 x4  4 O 1.58-1.75
12 Si 0.4796 0.1440 0.4241 x4  4 O 1.58-1.74
13 Ge 0.0187 0.0005 0.6528 x4  2 O 1.77-1.83
14 Ge 0.1596 0.4916 0.9875 x4  3 O 1.81-1.98
15 Ge 0.3407 0.0087 0.8199 x4  3 O 1.76-1.97
16 S 0.0007 0.2898 0.2539 x4  4 O 1.45-1.54
17 S 0.0258 0.3479 0.5880 x4  4 O 1.45-1.53
18 S 0.1921 0.1559 0.4205 x4  4 O 1.45-1.52
19 S 0.3147 0.3609 0.5868 x4  4 O 1.45-1.53
20 S 0.3385 0.2937 0.9212 x4  4 O 1.45-1.55
21 S 0.3627 0.3553 0.2522 x4  4 O 1.45-1.53
22 O 0.0129 0.1908 0.3062 x4  1 S 1.45
23 O 0.0152 0.1774 0.5927 x4  1 S 1.51
24 O 0.0689 0.4169 0.6406 x4  1 S 1.45
25 O 0.0742 0.1029 0.0924 x4  1 Si 1.75, 1 Ge 1.83
26 O 0.0801 0.3856 0.2486 x4  1 S 1.47
27 O 0.0815 0.3653 0.5312 x4  1 S 1.53
28 O 0.0839 0.4411 0.9253 x4  1 Si 1.74, 1 Ge 1.82
29 O 0.1008 0.1110 0.8179 x4  1 Si 1.58
30 O 0.1016 0.0943 0.4137 x4  1 S 1.47
31 O 0.1124 0.0547 0.6978 x4  1 Si 1.72, 1 Ge 1.77
32 O 0.1479 0.3147 0.0283 x4  1 Si 1.73, 1 Ge 1.81
33 O 0.1670 0.3294 0.7484 x4  1 Si 1.58
34 O 0.1788 0.3051 0.1507 x4  1 Si 1.58
35 O 0.1885 0.3265 0.4277 x4  1 S 1.51
36 O 0.2331 0.0774 0.4720 x4  1 S 1.45
37 O 0.2442 0.1319 0.3630 x4  1 S 1.52
38 O 0.2549 0.0544 0.7640 x4  1 Si 1.75, 1 Ge 1.81
39 O 0.2553 0.0941 0.0812 x4  1 Si 1.58
40 O 0.2559 0.3914 0.9250 x4  1 S 1.52
41 O 0.2620 0.3877 0.6399 x4  1 S 1.45
42 O 0.2723 0.4171 0.2465 x4  1 S 1.47
43 O 0.2726 0.4297 0.5291 x4  1 S 1.53
44 O 0.3146 0.1968 0.8646 x4  1 S 1.55
45 O 0.3286 0.1959 0.5806 x4  1 S 1.47
46 O 0.3499 0.1994 0.9745 x4  1 S 1.45
47 O 0.3537 0.1839 0.2557 x4  1 S 1.51
48 O 0.4026 0.4212 0.3067 x4  1 S 1.45
49 O 0.4052 0.4355 0.5912 x4  1 S 1.51
50 O 0.4167 0.3862 0.9117 x4  1 S 1.45
51 O 0.4175 0.3827 0.1958 x4  1 S 1.53
52 O 0.4192 0.1119 0.7570 x4  1 S 1.50
53 O 0.4286 0.1084 0.4842 x4  1 Si 1.58
54 O 0.4340 0.0588 0.3608 x4  1 Si 1.71, 1 Ge 1.76
55 O 0.4385 0.0809 0.0805 x4  1 S 1.46
56 O 0.4837 0.3009 0.6952 x4  1 S 1.54
57 O 0.4979 0.3237 0.4177 x4  1 Si 1.61

Summary:
Magnetic moment (μB/cell): 0.000
Crystal system: monoclinic
Theoretical density (kg/m³): 2916
Electronic total energy (eV/atom): -6.14